No. 1
HfMg14Sn | PBE-GGA | relaxed Values from VASP.

Output
Magnetic moment (μB/cell): 0.017
Formation energy (eV per atom): 0.01
ρ (g/cm³): 2.9
Symmetry: P-6m2

```
&SYSTEM
  ibrav = 0, nat = 16, ntyp = 3
/
ATOMIC_SPECIES
Mg 24.30 Mg.upf
Hf 178.49 Hf.upf
Sn 118.71 Sn.upf
CELL_PARAMETERS angstrom
-3.8942 3.9201 3.1512
-0.1986 -6.2584 1.1199
7.1540 1.1083 7.4622
ATOMIC_POSITIONS angstrom
Mg 1.2980 -2.4122 4.6049
Mg -1.7727 0.6566 3.4126
Mg -0.6449 -0.4822 6.2230
Mg 2.8322 0.0564 9.8499
Mg 4.9137 1.1895 7.7282
Mg 2.9214 3.1950 9.3404
Mg 1.8196 1.2413 7.1246
Mg 0.0882 -4.4252 2.3833
Hf 3.7560 -0.7401 5.5624
Mg 1.3950 0.6444 4.0579
Mg -0.5973 2.6499 5.6701
Mg -1.8714 -2.4526 3.9690
Sn 0.1790 -1.2943 1.8313
Mg 4.8167 -1.8671 8.2752
Mg 3.6368 -3.8654 6.1408
Mg 1.7188 -1.9346 7.6929
```



No. 2
HfMg6Sn | PBE-GGA | relaxed Values from VASP.

Output
Magnetic moment (μB/cell): 0.001
Formation energy (eV per atom): 0.00
ρ (g/cm³): 4.1

```
&SYSTEM
  ibrav = 0, nat = 16, ntyp = 3
/
ATOMIC_SPECIES
Mg 24.30 Mg.upf
Sn 118.71 Sn.upf
Hf 178.49 Hf.upf
CELL_PARAMETERS angstrom
5.1976 0.0000 0.0000
0.0000 6.1275 0.0000
0.0000 0.0000 11.2312
ATOMIC_POSITIONS angstrom
Mg 0.0000 3.0638 3.7125
Mg 0.0000 0.0000 3.7596
Mg 2.5988 4.6034 10.3069
Sn 2.5988 3.0638 7.4908
Mg 0.0000 4.5543 0.9113
Hf 2.5988 3.0638 1.9096
Mg 0.0000 0.0000 9.3280
Mg 0.0000 1.5732 0.9113
Mg 0.0000 1.4906 6.5269
Hf 2.5988 0.0000 7.5252
Mg 0.0000 3.0638 9.3752
Sn 2.5988 0.0000 1.8752
Mg 0.0000 4.6369 6.5269
Mg 2.5988 1.5397 4.6914
Mg 2.5988 1.5241 10.3069
Mg 2.5988 4.5879 4.6914
```



No. 3
HfMg6Sn | PBE-GGA | relaxed Values from VASP.

Output
Magnetic moment (μB/cell): 0.001
Formation energy (eV per atom): 0.01
ρ (g/cm³): 4.1

```
&SYSTEM
  ibrav = 0, nat = 16, ntyp = 3
/
ATOMIC_SPECIES
Mg 24.30 Mg.upf
Sn 118.71 Sn.upf
Hf 178.49 Hf.upf
CELL_PARAMETERS angstrom
4.9824 0.0000 0.0000
0.0000 6.5110 0.0000
0.0000 0.0000 11.0486
ATOMIC_POSITIONS angstrom
Mg 2.4912 4.8796 6.4433
Mg 0.0000 4.8524 10.1498
Mg 0.0000 3.2555 7.3583
Mg 2.4912 1.6241 0.9190
Mg 2.4912 1.6315 6.4433
Sn 2.4912 3.2555 3.6268
Sn 2.4912 0.0000 9.1511
Mg 2.4912 3.2555 9.2033
Mg 0.0000 0.0000 1.8340
Mg 0.0000 1.6587 10.1498
Mg 2.4912 4.8870 0.9190
Hf 0.0000 0.0000 7.3927
Mg 0.0000 4.9142 4.6255
Hf 0.0000 3.2555 1.8684
Mg 0.0000 1.5969 4.6255
Mg 2.4912 0.0000 3.6790
```



No. 4
HfMg14Sn | PBE-GGA | relaxed Values from VASP.

Output
Magnetic moment (μB/cell): 0.009
Formation energy (eV per atom): -0.01
ρ (g/cm³): 2.9
Symmetry: Amm2

```
&SYSTEM
  ibrav = 0, nat = 16, ntyp = 3
/
ATOMIC_SPECIES
Mg 24.30 Mg.upf
Hf 178.49 Hf.upf
Sn 118.71 Sn.upf
CELL_PARAMETERS angstrom
-5.0348 2.0537 3.3524
4.0082 -4.0923 2.6138
5.6213 7.8331 3.6437
ATOMIC_POSITIONS angstrom
Mg 1.3924 7.8816 6.4128
Hf 3.2089 -2.0888 3.1844
Mg 3.1124 0.8847 4.2322
Mg 3.4988 2.8533 6.6904
Mg 1.0892 2.9504 2.9128
Mg 0.5734 1.9163 5.9129
Mg 6.0147 1.8277 5.0137
Mg -1.4158 3.9684 4.5925
Sn 1.2013 -0.0427 1.8829
Mg 1.4922 4.9020 5.3818
Mg 4.0117 3.8739 3.7051
Mg 3.3902 5.8415 7.7388
Mg 5.9221 4.7999 6.0534
Mg 0.6800 -1.0561 4.8656
Mg 3.8989 6.8656 4.7341
Mg -1.3125 0.9783 3.5662
```



No. 5
SrHfMg14 | PBE-GGA | relaxed Values from VASP.

Output
Magnetic moment (μB/cell): 0.098
Formation energy (eV per atom): 0.09
ρ (g/cm³): 2.6
Symmetry: P-6m2

```
&SYSTEM
  ibrav = 0, nat = 16, ntyp = 3
/
ATOMIC_SPECIES
Mg 24.30 Mg.upf
Sr 87.62 Sr.upf
Hf 178.49 Hf.upf
CELL_PARAMETERS angstrom
6.5897 0.0000 0.0000
-3.2948 5.7068 0.0000
0.0000 0.0000 10.3491
ATOMIC_POSITIONS angstrom
Mg -1.5988 4.7837 1.2936
Mg 3.2948 3.8046 3.8577
Mg 3.2948 1.8462 1.2936
Mg 4.9179 0.9371 3.9983
Mg 0.0000 3.8327 3.9983
Mg 1.5988 4.7837 1.2936
Mg 3.2948 3.8046 9.0786
Sr 0.0000 1.9023 1.2936
Mg 4.9179 0.9371 8.9381
Mg 1.6718 0.9371 3.9983
Mg 3.2948 1.8995 6.4682
Mg 1.6450 4.7571 6.4682
Mg 1.6718 0.9371 8.9381
Mg 0.0000 3.8327 8.9381
Mg -1.6450 4.7571 6.4682
Hf 0.0000 1.9023 6.4682
```



No. 6
SrHfMg14 | PBE-GGA | relaxed Values from VASP.

Output
Magnetic moment (μB/cell): 0.000
Formation energy (eV per atom): 0.10
ρ (g/cm³): 2.6
Symmetry: Amm2

```
&SYSTEM
  ibrav = 0, nat = 16, ntyp = 3
/
ATOMIC_SPECIES
Mg 24.30 Mg.upf
Sr 87.62 Sr.upf
Hf 178.49 Hf.upf
CELL_PARAMETERS angstrom
6.5477 -0.0275 0.0000
-3.2976 5.7117 0.0000
0.0000 0.0000 10.4461
ATOMIC_POSITIONS angstrom
Mg 3.2780 3.7965 9.2027
Mg 1.6674 0.8876 4.0002
Mg -0.0465 3.8561 9.0575
Mg 3.2575 1.9063 6.5288
Mg 4.8420 0.8916 9.0232
Mg 1.6098 4.7375 1.3058
Sr -0.0194 1.8927 1.3058
Mg 4.8420 0.8916 4.0345
Mg -1.6685 4.7484 6.5288
Hf -1.5460 4.8191 1.3058
Mg 1.6674 0.8876 9.0575
Mg -0.0465 3.8561 4.0002
Mg 3.2780 3.7965 3.8550
Mg 3.2589 1.8812 1.3058
Mg -0.0047 1.9012 6.5288
Mg 1.6308 4.7237 6.5288
```



No. 7
HfMg14V | PBE-GGA | relaxed Values from VASP.

Output
Magnetic moment (μB/cell): 3.333
Formation energy (eV per atom): 0.11
ρ (g/cm³): 2.7
Symmetry: Amm2

```
&SYSTEM
  ibrav = 0, nat = 16, ntyp = 3
/
ATOMIC_SPECIES
Mg 24.30 Mg.upf
Hf 178.49 Hf.upf
V 50.94 V.upf
CELL_PARAMETERS angstrom
-5.6904 0.4413 -2.8256
3.6621 -4.8858 -1.2599
-4.2257 -5.1542 7.7049
ATOMIC_POSITIONS angstrom
Mg -3.0659 -1.9887 -1.3280
Mg -4.9866 -5.2050 5.6410
Mg -3.9125 -4.8365 -0.3295
Mg -5.2123 -4.5477 2.5181
Mg -7.8966 -5.0147 4.2068
Mg -2.3646 -4.7743 3.9284
Mg -6.0252 -7.4134 3.5226
Mg -0.5384 -7.2197 3.2941
Hf 1.5875 -4.6358 -0.5467
Mg -2.8291 -2.5734 1.7071
Mg -1.2654 -4.3909 -1.9475
V -0.2547 -2.1987 0.0733
Mg -5.7174 -2.3568 0.2335
Mg -3.1673 -7.6323 5.0150
Mg -3.3735 -7.0010 1.8854
Mg -1.0097 -5.0007 1.0812
```



No. 8
HfMg6V | PBE-GGA | relaxed Values from VASP.

Output
Magnetic moment (μB/cell): 6.562
Formation energy (eV per atom): 0.23
ρ (g/cm³): 3.6

```
&SYSTEM
  ibrav = 0, nat = 16, ntyp = 3
/
ATOMIC_SPECIES
V 50.94 V.upf
Mg 24.30 Mg.upf
Hf 178.49 Hf.upf
CELL_PARAMETERS angstrom
-4.0493 2.5940 -1.5488
-3.1156 -1.9062 4.9530
3.4984 8.7961 5.5858
ATOMIC_POSITIONS angstrom
V -1.2512 6.2053 5.4243
Mg -0.4558 0.3074 1.7065
Mg -0.4058 1.9433 4.3158
V -1.4426 2.7604 0.1549
Hf -2.9988 1.8114 2.6340
Mg -2.0435 -0.6640 4.2306
Mg -1.1592 7.9348 8.0803
Mg 1.1400 2.8663 1.8202
Hf 0.3082 7.1625 2.9504
Mg -1.3506 4.4898 2.8108
Mg 1.2635 4.6871 4.5470
Mg 1.3314 6.3112 7.0896
Mg 2.9012 7.2945 4.6322
Mg -2.8914 3.5471 5.2603
Mg -0.2644 3.7523 6.9759
Mg 0.4156 8.8983 5.5767
```



No. 9
HfMg6V | PBE-GGA | relaxed Values from VASP.

Output
Magnetic moment (μB/cell): 5.430
Formation energy (eV per atom): 0.20
ρ (g/cm³): 3.6

```
&SYSTEM
  ibrav = 0, nat = 16, ntyp = 3
/
ATOMIC_SPECIES
Mg 24.30 Mg.upf
Hf 178.49 Hf.upf
V 50.94 V.upf
CELL_PARAMETERS angstrom
4.9406 0.0000 0.0000
0.0000 6.2706 0.0000
0.0000 0.0000 11.0431
ATOMIC_POSITIONS angstrom
Mg 2.4703 0.0000 1.8148
Mg 0.0000 1.5945 0.8998
Hf 2.4703 3.1353 1.9995
Mg 0.0000 0.0000 3.6771
V 0.0000 0.0000 9.0315
Mg 2.4703 1.6202 4.6426
Mg 0.0000 4.7297 6.4214
Mg 0.0000 1.5408 6.4214
Mg 0.0000 3.1353 9.1987
Mg 2.4703 4.6503 4.6426
Hf 2.4703 0.0000 7.5210
Mg 2.4703 3.1353 7.3363
Mg 0.0000 4.6761 0.8998
Mg 2.4703 4.7555 10.1641
Mg 2.4703 1.5150 10.1641
V 0.0000 3.1353 3.5099
```



No. 10
HfMg14V | PBE-GGA | relaxed Values from VASP.

Output
Magnetic moment (μB/cell): 4.088
Formation energy (eV per atom): 0.13
ρ (g/cm³): 2.7
Symmetry: P-6m2

```
&SYSTEM
  ibrav = 0, nat = 16, ntyp = 3
/
ATOMIC_SPECIES
Mg 24.30 Mg.upf
Hf 178.49 Hf.upf
V 50.94 V.upf
CELL_PARAMETERS angstrom
-2.6890 -4.0477 4.0750
6.0599 -0.7725 -1.7035
2.9408 5.8894 7.7906
ATOMIC_POSITIONS angstrom
Mg 4.1954 0.3509 3.1170
Mg 4.3606 1.2420 9.0462
Hf 3.4098 2.7488 4.9805
Mg 0.5892 -2.2164 3.1223
Mg 2.0331 0.7440 7.0157
Mg 3.6300 -2.6041 2.2674
Mg 5.6840 3.3322 7.0607
Mg 2.9134 -1.6563 5.2123
Mg 4.9697 -0.5875 0.2373
Mg 5.1250 0.3499 6.1465
Mg 1.3545 1.6303 9.9815
Mg 2.7348 3.7081 7.8897
V 1.9394 -0.1959 1.0852
Mg 6.4420 2.3323 4.1507
Mg -0.1342 -1.3509 6.0378
Mg 1.2461 0.7268 3.9461
```



No. 11
HfMg14W | PBE-GGA | relaxed Values from VASP.

Output
Magnetic moment (μB/cell): 0.000
Formation energy (eV per atom): 0.15
ρ (g/cm³): 3.4
Symmetry: Amm2

```
&SYSTEM
  ibrav = 0, nat = 16, ntyp = 3
/
ATOMIC_SPECIES
Mg 24.30 Mg.upf
Hf 178.49 Hf.upf
W 183.84 W.upf
CELL_PARAMETERS angstrom
-4.2529 1.3954 4.5173
3.7349 -4.7193 0.8793
6.7333 6.1556 4.4375
ATOMIC_POSITIONS angstrom
Mg 6.6110 0.1467 4.2610
Mg 3.0127 5.8236 7.9407
Hf 3.2747 -2.9188 1.9793
Mg 4.7962 3.3783 8.2770
Mg 7.0034 2.7806 6.0045
Mg 4.7552 2.5111 3.7972
Mg -0.7095 0.1207 3.8083
Mg 1.4605 0.3287 6.0786
Mg 3.5240 -0.4003 3.7114
Mg 1.1319 -2.2060 4.2418
Mg 2.6202 3.2178 6.0563
Mg 5.1728 5.0936 5.5735
Mg -0.5260 2.5885 5.6085
Mg 1.6935 1.9127 3.2804
W 1.3995 -0.5623 1.5556
Mg 4.5026 0.8393 6.4995
```



No. 12
HfMg6W | PBE-GGA | relaxed Values from VASP.

Output
Magnetic moment (μB/cell): 0.001
Formation energy (eV per atom): 0.25
ρ (g/cm³): 5.1

```
&SYSTEM
  ibrav = 0, nat = 16, ntyp = 3
/
ATOMIC_SPECIES
Mg 24.30 Mg.upf
W 183.84 W.upf
Hf 178.49 Hf.upf
CELL_PARAMETERS angstrom
-0.7412 4.4906 -1.8617
-5.9751 -0.5459 1.0621
1.3940 4.4238 10.1157
ATOMIC_POSITIONS angstrom
Mg -1.4111 0.1888 1.0172
Mg -1.3109 3.9957 3.6658
Mg -0.5292 6.2154 8.7086
Mg -3.7016 2.1278 6.6062
Mg -0.1337 2.9972 0.7884
W -2.5650 1.0679 3.5972
W 1.1196 3.5528 8.1240
Mg -4.2137 3.7305 4.1818
Mg -3.6014 5.9347 9.2547
Mg -1.8354 3.3832 8.8913
Mg -4.3578 -0.0804 1.5410
Mg 0.4551 1.4442 3.3024
Hf -3.0824 2.8472 1.6007
Mg -2.4242 4.9361 6.3774
Hf 0.6021 5.3320 6.1275
Mg -0.6732 2.4044 6.0678
```



no.,ΔE to the lowest computed polymorph (meV per atom)
1,19
2,0
3,10
4,0
5,0
6,4
7,0
8,34
9,0
10,29
11,0
12,0